A plane-wave DFT calculation with PBE with a Hubbard U was carried out for an optimized crystal structure of Fe10O11F9.

* total magnetic moment: 49.00 μB per formula unit
* energy above the most stable polymorph in this dataset: 17 meV/atom

abc: 4.7760 15.3095 4.7761
angles: 90.00 95.30 90.00
With the nearest neighbours (Å) after each atom.
Space group Pm (No. 6)
Asymmetric unit:
Fe 0.0000 0.0000 0.0000  4 O 1.99, 2 F 2.18-2.19
Fe 0.0234 0.3947 0.9604  4 O 1.96-1.99, 1 F 2.14
Fe 0.4866 0.3072 0.5069  3 O 1.91-1.96, 2 F 2.03-2.09
Fe 0.4999 0.1022 0.5010  2 O 1.94, 4 F 2.02-2.07
Fe 0.5081 0.5000 0.5469  3 O 1.90-1.95, 3 F 2.07-2.11
Fe 0.9947 0.2000 0.0059  4 O 1.95-2.00, 1 F 2.15
O 0.1962 0.2976 0.1949  3 Fe 1.95-1.99
O 0.1970 0.1000 0.2000  3 Fe 1.94-1.99
O 0.3155 0.4004 0.6945  3 Fe 1.91-1.97
O 0.7995 0.0999 0.8042  3 Fe 1.94-2.00
O 0.8012 0.2952 0.7983  3 Fe 1.95-1.97
O 0.8250 0.5000 0.8174  3 Fe 1.90-1.96
F 0.2097 0.5000 0.2048  3 Fe 2.07-2.14
F 0.3042 0.1998 0.6914  3 Fe 2.02-2.20
F 0.3080 0.0000 0.6916  3 Fe 2.07-2.18
F 0.6886 0.2009 0.3095  3 Fe 2.02-2.15
F 0.6904 0.0000 0.3111  3 Fe 2.06-2.19
F 0.6929 0.4023 0.3139  2 Fe 2.03-2.11

A plane-wave DFT calculation with PBE with a Hubbard U was carried out for an optimized crystal structure of Fe4OF7.

* total magnetic moment: 17.00 μB per formula unit
* energy above the most stable polymorph in this dataset: 10 meV/atom

abc: 5.8042 5.8087 9.4256
angles: 88.50 88.41 71.27
With the nearest neighbours (Å) after each atom.
Space group P1 (No. 1)
Asymmetric unit:
Fe 0.0000 0.0000 0.0000  1 O 1.81
Fe 0.1043 0.1107 0.3524  5 F 2.04-2.24, 1 O 2.07
Fe 0.2316 0.2480 0.7298  1 O 2.05, 5 F 2.05-2.24
Fe 0.3512 0.3493 0.1092  1 O 2.05, 5 F 2.09-2.19
Fe 0.4706 0.4876 0.4913  5 F 2.04-2.21, 1 O 2.06
Fe 0.6081 0.6131 0.8628  6 F 2.06-2.19
Fe 0.7301 0.7300 0.2375  6 F 2.03-2.19
Fe 0.8876 0.8355 0.6137  1 O 1.82, 1 F 2.04
O 0.1328 0.1338 0.1336  1 Fe 1.81
O 0.1554 0.5648 0.6133  1 Fe 1.82
F 0.0555 0.6721 0.1025  3 Fe 2.05-2.19
F 0.0741 0.0774 0.5889  3 Fe 2.04-2.24
F 0.2967 0.9102 0.8635  3 Fe 2.06-2.24
F 0.3379 0.3330 0.3344  3 Fe 2.04-2.15
F 0.3882 0.3823 0.8859  3 Fe 2.05-2.13
F 0.4086 0.8111 0.3638  3 Fe 2.05-2.14
F 0.5788 0.1401 0.6135  3 Fe 2.08-2.21
F 0.5816 0.5816 0.0860  3 Fe 2.03-2.19
F 0.6431 0.6468 0.6378  3 Fe 2.06-2.13
F 0.6733 0.0539 0.1027  3 Fe 2.04-2.18
F 0.8028 0.4121 0.3666  3 Fe 2.04-2.16
F 0.8394 0.8451 0.8362  3 Fe 2.11-2.19
F 0.8753 0.8812 0.3936  3 Fe 2.06-2.19
F 0.9034 0.2998 0.8656  3 Fe 2.06-2.21

A plane-wave DFT calculation with PBE with a Hubbard U was carried out for an optimized crystal structure of Fe3O5F.

* total magnetic moment: 13.01 μB per formula unit
* energy above the most stable polymorph in this dataset: 15 meV/atom

abc: 5.5353 4.6390 7.5930
angles: 90.00 94.56 90.00
With the nearest neighbours (Å) after each atom.
Space group P2_1 (No. 4)
Asymmetric unit:
Fe 0.0753 0.0000 0.3367  5 O 1.90-1.96, 1 F 2.10
Fe 0.2525 0.5334 0.9897  5 O 1.94-2.04, 1 F 2.06
Fe 0.4081 0.0301 0.6633  5 O 1.94-2.00, 1 F 2.06
O 0.0441 0.8284 0.1071  3 Fe 1.91-2.04
O 0.1194 0.2111 0.5512  3 Fe 1.90-1.96
O 0.2089 0.7167 0.7595  3 Fe 1.94-2.00
O 0.3787 0.8287 0.4310  3 Fe 1.94-1.99
O 0.4554 0.2119 0.8969  3 Fe 1.95-2.03
F 0.2853 0.3227 0.2295  3 Fe 2.06-2.10

A plane-wave DFT calculation with PBE with a Hubbard U was carried out for an optimized crystal structure of Fe4O7F.

* total magnetic moment: 17.16 μB per formula unit
* energy above the most stable polymorph in this dataset: 6 meV/atom

abc: 6.0291 12.8335 6.6356
angles: 90.00 90.00 90.00
With the nearest neighbours (Å) after each atom.
Space group Cmc2_1 (No. 36)
Asymmetric unit:
Fe 0.0000 0.1243 0.0000  5 O 1.96-1.97, 1 F 2.12
Fe 0.0000 0.3744 0.4727  6 O 1.94-2.03
Fe 0.2405 0.3749 0.9716  5 O 1.94-1.97, 1 F 2.09
O 0.0000 0.1240 0.2968  3 Fe 1.95-1.97
O 0.0000 0.3733 0.1671  3 Fe 1.95-2.03
O 0.0000 0.3741 0.7763  3 Fe 1.94-2.01
O 0.2475 0.4718 0.4786  3 Fe 1.95-1.97
O 0.2486 0.2783 0.4791  3 Fe 1.94-1.97
F 0.0000 0.1240 0.6812  3 Fe 2.09-2.12

A plane-wave DFT calculation with PBE with a Hubbard U was carried out for an optimized crystal structure of Fe3O2F4.

* total magnetic moment: 14.00 μB per formula unit
* energy above the most stable polymorph in this dataset: 20 meV/atom

abc: 4.8283 5.7719 7.8256
angles: 84.57 89.62 89.08
With the nearest neighbours (Å) after each atom.
Space group P1 (No. 1)
Asymmetric unit:
Fe 0.0000 0.0000 0.0000  2 O 1.95, 4 F 2.04-2.10
Fe 0.0046 0.3365 0.6715  2 O 1.92-2.03, 4 F 2.00-2.06
Fe 0.0740 0.6633 0.3241  3 O 1.89-1.95
Fe 0.4710 0.1671 0.3452  2 O 1.90-1.92, 3 F 2.02-2.09
Fe 0.5015 0.8274 0.6529  1 O 2.00, 5 F 2.08-2.17
Fe 0.5201 0.5012 0.9996  4 F 2.10-2.16, 2 O 2.14-2.17
O 0.1888 0.7145 0.0920  2 Fe 1.89-1.95
O 0.2075 0.3705 0.4430  3 Fe 1.92-2.03
O 0.3114 0.8790 0.4266  3 Fe 1.90-2.00
O 0.8294 0.2860 0.8928  3 Fe 1.92-2.14
F 0.2096 0.0410 0.7696  3 Fe 2.05-2.12
F 0.3078 0.5255 0.7647  3 Fe 2.02-2.10
F 0.3092 0.1938 0.1066  3 Fe 2.02-2.16
F 0.7056 0.4506 0.2446  3 Fe 2.09-2.30
F 0.7119 0.8075 0.8851  3 Fe 2.06-2.13
F 0.7173 0.1410 0.5579  3 Fe 2.05-2.17
F 0.8010 0.9667 0.2311  3 Fe 2.04-2.24
F 0.8297 0.6288 0.5606  3 Fe 2.00-2.18

A plane-wave DFT calculation with PBE with a Hubbard U was carried out for an optimized crystal structure of Fe10O11F9.

* total magnetic moment: 49.00 μB per formula unit
* energy above the most stable polymorph in this dataset: 25 meV/atom

abc: 15.2568 6.3903 7.1126
angles: 90.00 90.00 90.00
With the nearest neighbours (Å) after each atom.
Space group Amm2 (No. 38)
Asymmetric unit:
Fe 0.0000 0.0000 0.0000  5 O 1.99-2.00
Fe 0.0945 0.0000 0.4572  3 O 1.92-1.95, 3 F 2.03-2.12
Fe 0.1986 0.0000 0.9640  4 O 1.94-1.99
Fe 0.2971 0.0000 0.4677  2 O 1.93, 4 F 2.01-2.08
Fe 0.3994 0.0000 0.9674  4 O 1.99, 2 F 2.19
Fe 0.5000 0.0000 0.4673  2 O 1.92, 4 F 2.05
O 0.0000 0.0000 0.2796  3 Fe 1.92-1.99
O 0.1015 0.1963 0.9703  3 Fe 1.94-2.00
O 0.2992 0.1984 0.9656  3 Fe 1.93-1.99
O 0.5000 0.1993 0.9676  3 Fe 1.92-1.99
F 0.0000 0.0000 0.6588  2 Fe 2.03
F 0.1982 0.0000 0.6553  3 Fe 2.01-2.20
F 0.2003 0.0000 0.2737  3 Fe 2.02-2.20
F 0.3993 0.0000 0.6589  3 Fe 2.05-2.19
F 0.3996 0.0000 0.2753  3 Fe 2.05-2.19

no.,DFT formation energy (eV per atom),electronic total energy (eV/atom),MP2020-corrected energy (eV per atom)
1,-1.947,-6.017,-7.16
2,-2.408,-5.682,-6.76
3,-1.515,-6.115,-7.30
4,-1.459,-6.137,-7.33
5,-2.177,-5.841,-6.95
6,-1.940,-6.009,-7.15